# 1
Entry from the Materials Project database: crystalline U2H14S2O19 at its relaxed geometry (PBE-GGA).

```
data_U2H14S2O19
_space_group_name_H-M_alt 'P 1'
_space_group_IT_number 1
_space_group_name_Hall 'P 1'
_cell_length_a 6.9156
_cell_length_b 11.4472
_cell_length_c 21.0947
_cell_angle_alpha 90.00
_cell_angle_beta 90.00
_cell_angle_gamma 90.00
loop_
_atom_site_label
_atom_site_type_symbol
_atom_site_fract_x
_atom_site_fract_y
_atom_site_fract_z
U1 U 0.1917 0.0003 0.4208
U2 U 0.8083 0.5003 0.5792
U3 U 0.1917 0.5003 0.0792
U4 U 0.8083 0.0003 0.9208
U5 U 0.7024 0.6125 0.2984
U6 U 0.2976 0.1125 0.7016
U7 U 0.7024 0.1125 0.2016
U8 U 0.2976 0.6125 0.7984
H1 H 0.4785 0.4616 0.2076
H2 H 0.5215 0.9616 0.7924
H3 H 0.4785 0.9616 0.2924
H4 H 0.5215 0.4616 0.7076
H5 H 0.3853 0.4139 0.2733
H6 H 0.6147 0.9139 0.7267
H7 H 0.3853 0.9139 0.2267
H8 H 0.6147 0.4139 0.7733
H9 H 0.3974 0.1813 0.5046
H10 H 0.6026 0.6813 0.4954
H11 H 0.3974 0.6813 0.9954
H12 H 0.6026 0.1813 0.0046
H13 H 0.5396 0.1640 0.4464
H14 H 0.4604 0.6640 0.5536
H15 H 0.5396 0.6640 0.0536
H16 H 0.4604 0.1640 0.9464
H17 H 0.1971 0.2579 0.3140
H18 H 0.8029 0.7579 0.6860
H19 H 0.1971 0.7579 0.1860
H20 H 0.8029 0.2579 0.8140
H21 H 0.2318 0.3658 0.3587
H22 H 0.7682 0.8658 0.6413
H23 H 0.2318 0.8658 0.1413
H24 H 0.7682 0.3658 0.8587
H25 H 0.9639 0.1484 0.5211
H26 H 0.0361 0.6484 0.4789
H27 H 0.9639 0.6484 0.9789
H28 H 0.0361 0.1484 0.0211
H29 H 0.9166 0.1841 0.4499
H30 H 0.0834 0.6841 0.5501
H31 H 0.9166 0.6841 0.0501
H32 H 0.0834 0.1841 0.9499
H33 H 0.8434 0.3954 0.2278
H34 H 0.1566 0.8954 0.7722
H35 H 0.8434 0.8954 0.2722
H36 H 0.1566 0.3954 0.7278
H37 H 0.0073 0.4059 0.2821
H38 H 0.9927 0.9059 0.7179
H39 H 0.0073 0.9059 0.2179
H40 H 0.9927 0.4059 0.7821
H41 H 0.3024 0.3769 0.4679
H42 H 0.6976 0.8769 0.5321
H43 H 0.3024 0.8769 0.0321
H44 H 0.6976 0.3769 0.9679
H45 H 0.2638 0.4946 0.4291
H46 H 0.7362 0.9946 0.5709
H47 H 0.2638 0.9946 0.0709
H48 H 0.7362 0.4946 0.9291
H49 H 0.7343 0.8215 0.0717
H50 H 0.2657 0.3215 0.9283
H51 H 0.7343 0.3215 0.4283
H52 H 0.2657 0.8215 0.5717
H53 H 0.7259 0.7393 0.1337
H54 H 0.2741 0.2393 0.8663
H55 H 0.7259 0.2393 0.3663
H56 H 0.2741 0.7393 0.6337
S1 S 0.6886 0.8856 0.3966
S2 S 0.3114 0.3856 0.6034
S3 S 0.6886 0.3856 0.1034
S4 S 0.3114 0.8856 0.8966
S5 S 0.1941 0.7036 0.3499
S6 S 0.8059 0.2036 0.6501
S7 S 0.1941 0.2036 0.1501
S8 S 0.8059 0.7036 0.8499
O1 O 0.1816 0.1009 0.3546
O2 O 0.8184 0.6009 0.6454
O3 O 0.1816 0.6009 0.1454
O4 O 0.8184 0.1009 0.8546
O5 O 0.1993 0.9075 0.4898
O6 O 0.8007 0.4075 0.5102
O7 O 0.1993 0.4075 0.0102
O8 O 0.8007 0.9075 0.9898
O9 O 0.7040 0.5497 0.3764
O10 O 0.2960 0.0497 0.6236
O11 O 0.7040 0.0497 0.1236
O12 O 0.2960 0.5497 0.8764
O13 O 0.7038 0.6762 0.2198
O14 O 0.2962 0.1762 0.7802
O15 O 0.7038 0.1762 0.2802
O16 O 0.2962 0.6762 0.7198
O17 O 0.5143 0.9579 0.3792
O18 O 0.4857 0.4579 0.6208
O19 O 0.5143 0.4579 0.1208
O20 O 0.4857 0.9579 0.8792
O21 O 0.7350 0.8117 0.3398
O22 O 0.2650 0.3117 0.6602
O23 O 0.7350 0.3117 0.1602
O24 O 0.2650 0.8117 0.8398
O25 O 0.6509 0.8144 0.4527
O26 O 0.3491 0.3144 0.5473
O27 O 0.6509 0.3144 0.0473
O28 O 0.3491 0.8144 0.9527
O29 O 0.8518 0.9674 0.4072
O30 O 0.1482 0.4674 0.5928
O31 O 0.8518 0.4674 0.0928
O32 O 0.1482 0.9674 0.9072
O33 O 0.3831 0.6832 0.3180
O34 O 0.6169 0.1832 0.6820
O35 O 0.3831 0.1832 0.1820
O36 O 0.6169 0.6832 0.8180
O37 O 0.0387 0.6597 0.3069
O38 O 0.9613 0.1597 0.6931
O39 O 0.0387 0.1597 0.1931
O40 O 0.9613 0.6597 0.8069
O41 O 0.1864 0.6461 0.4119
O42 O 0.8136 0.1461 0.5881
O43 O 0.1864 0.1461 0.0881
O44 O 0.8136 0.6461 0.9119
O45 O 0.1678 0.8331 0.3564
O46 O 0.8322 0.3331 0.6436
O47 O 0.1678 0.3331 0.1436
O48 O 0.8322 0.8331 0.8564
O49 O 0.4849 0.4676 0.2543
O50 O 0.5151 0.9676 0.7457
O51 O 0.4849 0.9676 0.2457
O52 O 0.5151 0.4676 0.7543
O53 O 0.4322 0.1266 0.4704
O54 O 0.5678 0.6266 0.5296
O55 O 0.4322 0.6266 0.0296
O56 O 0.5678 0.1266 0.9704
O57 O 0.2041 0.3437 0.3127
O58 O 0.7959 0.8437 0.6873
O59 O 0.2041 0.8437 0.1873
O60 O 0.7959 0.3437 0.8127
O61 O 0.0194 0.1483 0.4777
O62 O 0.9806 0.6483 0.5223
O63 O 0.0194 0.6483 0.0223
O64 O 0.9806 0.1483 0.9777
O65 O 0.8899 0.4444 0.2631
O66 O 0.1101 0.9444 0.7369
O67 O 0.8899 0.9444 0.2369
O68 O 0.1101 0.4444 0.7631
O69 O 0.2925 0.4107 0.4254
O70 O 0.7075 0.9107 0.5746
O71 O 0.2925 0.9107 0.0746
O72 O 0.7075 0.4107 0.9254
O73 O 0.7342 0.7406 0.0872
O74 O 0.2658 0.2406 0.9128
O75 O 0.7342 0.2406 0.4128
O76 O 0.2658 0.7406 0.5872
```

## Properties
VASP energy ... -918.48 eV/cell
Crystal system ... orthorhombic
Calculated density ... 3.41 g/cm3
Symmetry ... No. 29


# 2
Entry from the Materials Project database: crystalline UH2S2O10 at its relaxed geometry (PBE-GGA).

```
data_UH2S2O10
_space_group_name_H-M_alt 'P 1'
_space_group_IT_number 1
_space_group_name_Hall 'P 1'
_cell_length_a 8.1377
_cell_length_b 8.3441
_cell_length_c 13.5314
_cell_angle_alpha 90.00
_cell_angle_beta 110.23
_cell_angle_gamma 90.00
loop_
_atom_site_label
_atom_site_type_symbol
_atom_site_fract_x
_atom_site_fract_y
_atom_site_fract_z
U1 U 0.1828 0.2774 0.9155
U2 U 0.1828 0.2226 0.4155
U3 U 0.8172 0.7226 0.0845
U4 U 0.8172 0.7774 0.5845
H1 H 0.4773 0.5543 0.2686
H2 H 0.4773 0.9457 0.7686
H3 H 0.5227 0.4457 0.7314
H4 H 0.5227 0.0543 0.2314
H5 H 0.2441 0.8033 0.8946
H6 H 0.2441 0.6967 0.3946
H7 H 0.7559 0.1967 0.1054
H8 H 0.7559 0.3033 0.6054
S1 S 0.5352 0.3983 0.1550
S2 S 0.5352 0.1017 0.6550
S3 S 0.4648 0.6017 0.8450
S4 S 0.4648 0.8983 0.3450
S5 S 0.9777 0.8737 0.8709
S6 S 0.9777 0.6263 0.3709
S7 S 0.0223 0.1263 0.1291
S8 S 0.0223 0.3737 0.6291
O1 O 0.9973 0.4032 0.8968
O2 O 0.9973 0.0968 0.3968
O3 O 0.0027 0.5968 0.1032
O4 O 0.0027 0.9032 0.6032
O5 O 0.3669 0.1489 0.9338
O6 O 0.3669 0.3511 0.4338
O7 O 0.6331 0.8511 0.0662
O8 O 0.6331 0.6489 0.5662
O9 O 0.6523 0.5123 0.1297
O10 O 0.6523 0.9877 0.6297
O11 O 0.3477 0.4877 0.8703
O12 O 0.3477 0.0123 0.3703
O13 O 0.3562 0.4089 0.0770
O14 O 0.3562 0.0911 0.5770
O15 O 0.6438 0.5911 0.9230
O16 O 0.6438 0.9089 0.4230
O17 O 0.6067 0.2356 0.1718
O18 O 0.6067 0.2644 0.6718
O19 O 0.3933 0.7644 0.8282
O20 O 0.3933 0.7356 0.3282
O21 O 0.5243 0.4450 0.2648
O22 O 0.5243 0.0550 0.7648
O23 O 0.4757 0.5550 0.7352
O24 O 0.4757 0.9450 0.2352
O25 O 0.8781 0.8577 0.9419
O26 O 0.8781 0.6423 0.4419
O27 O 0.1219 0.1423 0.0581
O28 O 0.1219 0.3577 0.5581
O29 O 0.8986 0.7793 0.7744
O30 O 0.8986 0.7207 0.2744
O31 O 0.1014 0.2207 0.2256
O32 O 0.1014 0.2793 0.7256
O33 O 0.0002 0.0420 0.8459
O34 O 0.0002 0.4580 0.3459
O35 O 0.9998 0.9580 0.1541
O36 O 0.9998 0.5420 0.6541
O37 O 0.1606 0.8014 0.9347
O38 O 0.1606 0.6986 0.4347
O39 O 0.8394 0.1986 0.0653
O40 O 0.8394 0.3014 0.5653
```

## Properties
VASP energy ... -406.05 eV/cell
Crystal system ... monoclinic
Calculated density ... 3.58 g/cm3
Symmetry ... No. 14


# 3
Entry from the Materials Project database: crystalline Y2H16S3O20 at its relaxed geometry (PBE-GGA).

```
data_Y2H16S3O20
_space_group_name_H-M_alt 'P 1'
_space_group_IT_number 1
_space_group_name_Hall 'P 1'
_cell_length_a 7.5612
_cell_length_b 7.5612
_cell_length_c 18.3501
_cell_angle_alpha 78.85
_cell_angle_beta 78.85
_cell_angle_gamma 53.07
loop_
_atom_site_label
_atom_site_type_symbol
_atom_site_fract_x
_atom_site_fract_y
_atom_site_fract_z
Y1 Y 0.6455 0.6894 0.1072
Y2 Y 0.3106 0.3545 0.3928
Y3 Y 0.3545 0.3106 0.8928
Y4 Y 0.6894 0.6455 0.6072
H1 H 0.7989 0.2130 0.1589
H2 H 0.7870 0.2011 0.3411
H3 H 0.2011 0.7870 0.8411
H4 H 0.2130 0.7989 0.6589
H5 H 0.5400 0.3516 0.1476
H6 H 0.6484 0.4600 0.3524
H7 H 0.4600 0.6484 0.8524
H8 H 0.3516 0.5400 0.6476
H9 H 0.1802 0.8355 0.1056
H10 H 0.1645 0.8198 0.3944
H11 H 0.8198 0.1645 0.8944
H12 H 0.8355 0.1802 0.6056
H13 H 0.3098 0.6664 0.0440
H14 H 0.3336 0.6902 0.4560
H15 H 0.6902 0.3336 0.9560
H16 H 0.6664 0.3098 0.5440
H17 H 0.7064 0.7461 0.2547
H18 H 0.2539 0.2936 0.2453
H19 H 0.2936 0.2539 0.7453
H20 H 0.7461 0.7064 0.7547
H21 H 0.8665 0.7921 0.1970
H22 H 0.2079 0.1335 0.3030
H23 H 0.1335 0.2079 0.8030
H24 H 0.7921 0.8665 0.6970
H25 H 0.7910 0.9610 0.0081
H26 H 0.0390 0.2090 0.4919
H27 H 0.2090 0.0390 0.9919
H28 H 0.9610 0.7910 0.5081
H29 H 0.0014 0.7086 0.0174
H30 H 0.2914 0.9986 0.4826
H31 H 0.9986 0.2914 0.9826
H32 H 0.7086 0.0014 0.5174
S1 S 0.2528 0.3107 0.0905
S2 S 0.6893 0.7472 0.4095
S3 S 0.7472 0.6893 0.9095
S4 S 0.3107 0.2528 0.5905
S5 S 0.1726 0.8274 0.2500
S6 S 0.8274 0.1726 0.7500
O1 O 0.3041 0.3704 0.1516
O2 O 0.6296 0.6959 0.3484
O3 O 0.6959 0.6296 0.8484
O4 O 0.3704 0.3041 0.6516
O5 O 0.4095 0.0706 0.0817
O6 O 0.9294 0.5905 0.4183
O7 O 0.5905 0.9294 0.9183
O8 O 0.0706 0.4095 0.5817
O9 O 0.0219 0.3758 0.1040
O10 O 0.6242 0.9781 0.3960
O11 O 0.9781 0.6242 0.8960
O12 O 0.3758 0.0219 0.6040
O13 O 0.2762 0.4343 0.0177
O14 O 0.5657 0.7238 0.4823
O15 O 0.7238 0.5657 0.9823
O16 O 0.4343 0.2762 0.5177
O17 O 0.3851 0.7849 0.2122
O18 O 0.2151 0.6149 0.2878
O19 O 0.6149 0.2151 0.7878
O20 O 0.7849 0.3851 0.7122
O21 O 0.0124 0.9190 0.1930
O22 O 0.0810 0.9876 0.3070
O23 O 0.9876 0.0810 0.8070
O24 O 0.9190 0.0124 0.6930
O25 O 0.6703 0.3581 0.1397
O26 O 0.6419 0.3297 0.3603
O27 O 0.3297 0.6419 0.8603
O28 O 0.3581 0.6703 0.6397
O29 O 0.2996 0.7854 0.0632
O30 O 0.2146 0.7004 0.4368
O31 O 0.7004 0.2146 0.9368
O32 O 0.7854 0.2996 0.5632
O33 O 0.7629 0.7510 0.2014
O34 O 0.2490 0.2371 0.2986
O35 O 0.2371 0.2490 0.7986
O36 O 0.7510 0.7629 0.7014
O37 O 0.8585 0.8237 0.0428
O38 O 0.1763 0.1415 0.4572
O39 O 0.1415 0.1763 0.9572
O40 O 0.8237 0.8585 0.5428
```

## Properties
VASP energy ... -480.34 eV/cell
Crystal system ... monoclinic
Calculated density ... 2.47 g/cm3
Symmetry ... No. 15